Entry 1:
Computed, not measured: a geometry-optimized SiO2 structure at the GGA-PBE level of DFT.

Structure (POSCAR):
```
SiO2
1.0
8.323 0.000 0.000
4.159 7.211 0.000
0.063 0.022 10.427
Si O
18 36
Direct
0.458 0.827 0.414
0.126 0.499 0.751
0.789 0.164 0.084
0.207 0.461 0.418
0.876 0.131 0.749
0.539 0.794 0.084
0.835 0.210 0.419
0.499 0.879 0.749
0.161 0.546 0.081
0.124 0.869 0.251
0.793 0.539 0.582
0.461 0.206 0.916
0.501 0.121 0.251
0.165 0.790 0.581
0.839 0.454 0.919
0.874 0.501 0.249
0.542 0.173 0.586
0.211 0.836 0.916
0.668 0.674 0.209
0.336 0.342 0.542
0.002 0.009 0.874
0.158 0.668 0.208
0.839 0.330 0.544
0.497 0.001 0.875
0.666 0.162 0.209
0.333 0.833 0.539
0.002 0.498 0.877
0.003 0.005 0.373
0.669 0.674 0.705
0.332 0.340 0.041
0.501 0.994 0.373
0.168 0.665 0.707
0.827 0.333 0.042
0.998 0.502 0.376
0.668 0.171 0.709
0.333 0.831 0.040
0.667 0.169 0.960
0.332 0.829 0.291
0.002 0.498 0.624
0.668 0.660 0.959
0.331 0.326 0.295
0.997 0.995 0.627
0.173 0.667 0.958
0.832 0.335 0.293
0.499 0.006 0.627
0.998 0.991 0.126
0.664 0.658 0.458
0.332 0.326 0.791
0.998 0.502 0.123
0.667 0.167 0.461
0.334 0.838 0.791
0.503 0.999 0.125
0.161 0.670 0.456
0.842 0.332 0.792
```

* E (MP2020): -436.3 eV for the cell shown
* mass density: 2.87 Mg/m³
* total magnetic moment: 0.000 μB per formula unit
* calculated formation energy: -2.973 eV per atom

=====

Entry 2:
Computed, not measured: a geometry-optimized Cr3S4 structure at the GGA-PBE level of DFT.

Structure (POSCAR):
```
Cr3S4
1.0
-1.834 1.444 -6.144
-1.549 -2.017 -6.060
-5.942 -0.519 -1.196
Cr S
3 4
Direct
0.000 0.000 0.000
0.736 0.736 0.280
0.264 0.264 0.720
0.125 0.125 0.551
0.634 0.634 0.019
0.366 0.366 0.981
0.875 0.875 0.449
```

* E (MP2020): -52.1 eV for the cell shown
* mass density: 3.95 Mg/m³
* calculated formation energy: -0.946 eV per atom

=====

Entry 3:
Computed, not measured: a geometry-optimized NaAl3 structure at the GGA-PBE level of DFT.

Structure (POSCAR):
```
NaAl3
1.0
4.220 0.000 0.000
0.000 4.220 0.000
0.000 0.000 4.220
Na Al
1 3
Direct
0.000 0.000 0.000
0.000 0.500 0.500
0.500 0.000 0.500
0.500 0.500 0.000
```

* mass density: 2.30 Mg/m³
* total magnetic moment: 0.000 μB per formula unit
* calculated formation energy: 0.166 eV per atom

=====

Entry 4:
Computed, not measured: a geometry-optimized La2Ni7 structure at the GGA-PBE level of DFT.

Structure (POSCAR):
```
La2Ni7
1.0
2.512 -4.351 0.000
2.512 4.351 0.000
0.000 0.000 24.590
La Ni
8 28
Direct
0.333 0.667 0.326
0.667 0.333 0.826
0.667 0.333 0.674
0.333 0.667 0.174
0.333 0.667 0.469
0.667 0.333 0.969
0.667 0.333 0.531
0.333 0.667 0.031
0.834 0.166 0.413
0.834 0.667 0.413
0.333 0.166 0.413
0.667 0.834 0.913
0.166 0.333 0.587
0.166 0.834 0.913
0.166 0.333 0.913
0.834 0.166 0.087
0.000 0.000 0.000
0.000 0.000 0.500
0.000 0.000 0.169
0.000 0.000 0.669
0.000 0.000 0.831
0.000 0.000 0.331
0.333 0.667 0.832
0.667 0.333 0.332
0.667 0.333 0.168
0.333 0.667 0.668
0.833 0.666 0.250
0.167 0.833 0.750
0.666 0.833 0.750
0.334 0.167 0.250
0.833 0.167 0.250
0.167 0.334 0.750
0.834 0.667 0.087
0.166 0.834 0.587
0.667 0.834 0.587
0.333 0.166 0.087
```

* mass density: 8.51 Mg/m³
* calculated formation energy: -0.315 eV per atom

=====

Entry 5:
Computed, not measured: a geometry-optimized Ag2TeO4 structure at the GGA-PBE level of DFT.

Structure (POSCAR):
```
Ag2TeO4
1.0
5.506 3.548 5.213
-1.737 4.077 4.350
3.515 -2.315 5.984
Ag Te O
4 2 8
Direct
0.222 0.229 0.529
0.528 0.534 0.221
0.777 0.781 0.471
0.476 0.473 0.772
0.128 0.127 0.123
0.872 0.878 0.877
0.154 0.320 0.254
0.780 0.259 0.311
0.256 0.780 0.152
0.320 0.150 0.776
0.680 0.856 0.225
0.743 0.227 0.850
0.222 0.740 0.684
0.842 0.688 0.749
```

* E (MP2020): -69.5 eV for the cell shown
* mass density: 5.96 Mg/m³
* total magnetic moment: 0.000 μB per formula unit
* calculated formation energy: -0.880 eV per atom

=====

Entry 6:
Computed, not measured: a geometry-optimized Ba6In5N structure at the GGA-PBE level of DFT.

Structure (POSCAR):
```
Ba6In5N
1.0
-8.051 10.445 -8.484
-13.154 3.936 -7.575
-12.386 9.508 -1.443
Ba In N
12 10 2
Direct
0.634 0.219 0.752
0.281 0.866 0.748
0.866 0.748 0.281
0.719 0.134 0.252
0.134 0.252 0.719
0.252 0.719 0.134
0.781 0.248 0.366
0.752 0.634 0.219
0.366 0.781 0.248
0.219 0.752 0.634
0.248 0.366 0.781
0.748 0.281 0.866
0.534 0.966 0.750
0.193 0.193 0.193
0.807 0.807 0.807
0.750 0.534 0.966
0.966 0.750 0.534
0.693 0.693 0.693
0.466 0.034 0.250
0.034 0.250 0.466
0.250 0.466 0.034
0.307 0.307 0.307
0.000 0.000 0.000
0.500 0.500 0.500
```

* E (MP2020): -78.7 eV for the cell shown
* mass density: 5.24 Mg/m³
* calculated formation energy: -0.478 eV per atom

=====

Entry 7:
Computed, not measured: a geometry-optimized HgH4C2S2N6Cl2 structure at the GGA-PBE level of DFT.

Structure (POSCAR):
```
HgH4C2S2N6Cl2
1.0
8.563 0.000 0.000
0.000 11.269 0.000
0.000 0.000 20.369
Hg H C S N Cl
4 16 8 8 24 8
Direct
0.224 0.000 0.250
0.276 0.500 0.750
0.776 0.000 0.750
0.724 0.500 0.250
0.265 0.688 0.274
0.235 0.812 0.774
0.235 0.188 0.726
0.265 0.312 0.226
0.735 0.312 0.726
0.765 0.188 0.226
0.765 0.812 0.274
0.735 0.688 0.774
0.040 0.671 0.498
0.460 0.829 0.998
0.460 0.171 0.502
0.040 0.329 0.002
0.960 0.329 0.502
0.540 0.171 0.002
0.540 0.829 0.498
0.960 0.671 0.998
0.084 0.840 0.465
0.416 0.660 0.965
0.416 0.340 0.535
0.084 0.160 0.035
0.916 0.160 0.535
0.584 0.340 0.035
0.584 0.660 0.465
0.916 0.840 0.965
0.143 0.951 0.426
0.357 0.549 0.926
0.357 0.451 0.574
0.143 0.049 0.074
0.857 0.049 0.574
0.643 0.451 0.074
0.643 0.549 0.426
0.857 0.951 0.926
0.124 0.515 0.388
0.376 0.985 0.888
0.376 0.015 0.612
0.124 0.485 0.112
0.876 0.485 0.612
0.624 0.015 0.112
0.624 0.985 0.388
0.876 0.515 0.888
0.159 0.597 0.361
0.341 0.903 0.861
0.341 0.097 0.639
0.159 0.403 0.139
0.841 0.403 0.639
0.659 0.097 0.139
0.659 0.903 0.361
0.841 0.597 0.861
0.030 0.760 0.497
0.470 0.740 0.997
0.470 0.260 0.503
0.030 0.240 0.003
0.970 0.240 0.503
0.530 0.260 0.003
0.530 0.740 0.497
0.970 0.760 0.997
0.848 0.195 0.279
0.652 0.305 0.779
0.652 0.695 0.721
0.848 0.805 0.221
0.152 0.805 0.721
0.348 0.695 0.221
0.348 0.305 0.279
0.152 0.195 0.779
```

* E (MP2020): -387.4 eV for the cell shown
* mass density: 1.51 Mg/m³
* total magnetic moment: 0.059 μB per formula unit
* calculated formation energy: -0.148 eV per atom

=====

Entry 8:
Computed, not measured: a geometry-optimized Mg6ZnSb structure at the GGA-PBE level of DFT.

Structure (POSCAR):
```
Mg6ZnSb
1.0
5.194 0.000 0.000
0.000 6.471 0.000
0.000 0.000 10.555
Mg Zn Sb
12 2 2
Direct
0.500 0.749 0.084
0.500 0.251 0.084
0.000 0.757 0.915
0.000 0.243 0.915
0.000 0.500 0.168
0.000 0.500 0.667
0.500 0.249 0.584
0.500 0.751 0.584
0.000 0.257 0.415
0.000 0.743 0.415
0.000 0.000 0.668
0.000 0.000 0.167
0.500 0.500 0.331
0.500 0.000 0.831
0.500 0.500 0.834
0.500 0.000 0.334
```

* E (MP2020): -31.1 eV for the cell shown
* mass density: 3.12 Mg/m³
* total magnetic moment: 0.001 μB per formula unit
* calculated formation energy: -0.070 eV per atom

=====

Entry 9:
Computed, not measured: a geometry-optimized Fe2Pd3Au3 structure at the GGA-PBE level of DFT.

Structure (POSCAR):
```
Fe2Pd3Au3
1.0
3.985 0.000 0.000
0.000 3.989 0.000
0.000 0.000 7.783
Fe Pd Au
2 3 3
Direct
0.000 0.000 0.741
0.000 0.000 0.259
0.500 0.000 0.500
0.000 0.500 0.000
0.000 0.500 0.500
0.500 0.500 0.747
0.500 0.500 0.253
0.500 0.000 0.000
```

* mass density: 13.72 Mg/m³
* total magnetic moment: 7.903 μB per formula unit
* calculated formation energy: -0.001 eV per atom

=====

Entry 10:
Computed, not measured: a geometry-optimized Er2Zn17 structure at the GGA-PBE level of DFT.

Structure (POSCAR):
```
Er2Zn17
1.0
-1.337 2.423 -8.265
-1.698 8.372 2.729
8.380 -2.431 -2.069
Er Zn
4 34
Direct
0.750 0.000 0.000
0.250 0.000 0.000
0.250 0.666 0.334
0.750 0.334 0.666
0.597 0.667 0.333
0.403 0.333 0.667
0.097 0.333 0.667
0.903 0.667 0.333
0.500 0.500 0.000
0.500 0.500 0.500
0.500 0.000 0.500
0.000 0.500 0.000
0.000 0.500 0.500
0.000 0.000 0.500
0.750 0.671 0.032
0.750 0.362 0.329
0.750 0.968 0.638
0.750 0.362 0.032
0.750 0.968 0.329
0.750 0.671 0.638
0.250 0.329 0.968
0.250 0.638 0.671
0.250 0.032 0.362
0.250 0.638 0.968
0.250 0.032 0.671
0.250 0.329 0.362
0.482 0.838 0.677
0.482 0.839 0.161
0.482 0.323 0.162
0.518 0.162 0.323
0.518 0.161 0.839
0.518 0.677 0.838
0.982 0.162 0.323
0.982 0.161 0.839
0.982 0.677 0.838
0.018 0.838 0.677
0.018 0.839 0.161
0.018 0.323 0.162
```

* mass density: 7.91 Mg/m³
* total magnetic moment: 0.003 μB per formula unit
* calculated formation energy: -0.227 eV per atom

=====

Entry 11:
Computed, not measured: a geometry-optimized LaAgO3 structure at the GGA-PBE level of DFT.

Structure (POSCAR):
```
LaAgO3
1.0
4.108 0.000 0.000
0.000 4.108 0.000
0.000 0.000 4.108
La Ag O
1 1 3
Direct
0.500 0.500 0.500
0.000 0.000 0.000
0.500 0.000 0.000
0.000 0.500 0.000
0.000 0.000 0.500
```

* E (MP2020): -32.1 eV for the cell shown
* mass density: 7.06 Mg/m³
* total magnetic moment: 0.074 μB per formula unit
* calculated formation energy: -1.888 eV per atom

=====

> Look up the calculated formation energy of the eleventh one.

-1.888 eV per atom

=====

> calculated formation energy of number 9 (Fe2Pd3Au3)?

-0.001 eV per atom

=====

What did the second record say?
Computed, not measured: a geometry-optimized Cr3S4 structure at the GGA-PBE level of DFT.

Structure (POSCAR):
```
Cr3S4
1.0
-1.834 1.444 -6.144
-1.549 -2.017 -6.060
-5.942 -0.519 -1.196
Cr S
3 4
Direct
0.000 0.000 0.000
0.736 0.736 0.280
0.264 0.264 0.720
0.125 0.125 0.551
0.634 0.634 0.019
0.366 0.366 0.981
0.875 0.875 0.449
```

* E (MP2020): -52.1 eV for the cell shown
* mass density: 3.95 Mg/m³
* calculated formation energy: -0.946 eV per atom